*P*
Density functional theory data (PBE) for a relaxed PrI3O9 crystal.

abc: 6.968 8.275 6.655
angles: 90.00 90.00 90.00
Space group Pmmn (No. 59, origin choice 2)
Unique sites:
Pr1 0.250 0.250 0.115 [2 per cell]
I1 0.250 0.545 0.640 [4 per cell]
I2 0.250 0.750 0.104 [2 per cell]
O1 0.071 0.607 0.971 [8 per cell]
O2 0.072 0.750 0.595 [4 per cell]
O3 0.250 0.015 0.369 [4 per cell]
O4 0.250 0.250 0.760 [2 per cell]


*Q*
Density functional theory data (PBE) for a relaxed PrI3O9 crystal.

abc: 8.974 6.056 17.075
angles: 90.00 114.79 90.00
Space group P2_1/c (No. 14)
Unique sites:
Pr1 0.139 0.232 0.100 [4 per cell]
I1 0.069 0.187 0.351 [4 per cell]
I2 0.360 0.636 0.523 [4 per cell]
I3 0.416 0.590 0.802 [4 per cell]
O1 0.063 0.049 0.704 [4 per cell]
O2 0.091 0.091 0.458 [4 per cell]
O3 0.095 0.607 0.671 [4 per cell]
O4 0.135 0.599 0.491 [4 per cell]
O5 0.332 0.587 0.883 [4 per cell]
O6 0.343 0.183 0.255 [4 per cell]
O7 0.359 0.087 0.947 [4 per cell]
O8 0.370 0.501 0.131 [4 per cell]
O9 0.403 0.033 0.120 [4 per cell]


Q: Which of them is the least stable? A: *P*.


*P*
Density functional theory data (PBE) for a relaxed RbI3O9 crystal.

abc: 8.247 8.328 8.384
angles: 71.50 66.92 61.22
Space group P-1 (No. 2)
Unique sites:
Rb1 0.247 0.274 0.281 [2 per cell]
I1 0.215 0.707 0.796 [2 per cell]
I2 0.226 0.767 0.267 [2 per cell]
I3 0.254 0.191 0.806 [2 per cell]
O1 0.009 0.253 0.653 [2 per cell]
O2 0.042 0.123 0.134 [2 per cell]
O3 0.156 0.528 0.775 [2 per cell]
O4 0.188 0.867 0.453 [2 per cell]
O5 0.252 0.614 0.013 [2 per cell]
O6 0.327 0.939 0.824 [2 per cell]
O7 0.384 0.525 0.330 [2 per cell]
O8 0.402 0.212 0.576 [2 per cell]
O9 0.426 0.160 0.918 [2 per cell]


*Q*
Density functional theory data (PBE) for a relaxed RbI3O9 crystal.

abc: 7.114 7.490 18.379
angles: 79.48 85.09 71.51
Space group P-1 (No. 2)
Unique sites:
Rb1 0.042 0.091 0.172 [2 per cell]
Rb2 0.195 0.173 0.505 [2 per cell]
I1 0.017 0.597 0.305 [2 per cell]
I2 0.020 0.639 0.075 [2 per cell]
I3 0.393 0.862 0.969 [2 per cell]
I4 0.440 0.434 0.834 [2 per cell]
I5 0.478 0.492 0.605 [2 per cell]
I6 0.479 0.051 0.301 [2 per cell]
O1 0.013 0.082 0.367 [2 per cell]
O2 0.021 0.531 0.406 [2 per cell]
O3 0.117 0.147 0.704 [2 per cell]
O4 0.152 0.672 0.150 [2 per cell]
O5 0.155 0.397 0.063 [2 per cell]
O6 0.156 0.781 0.991 [2 per cell]
O7 0.162 0.472 0.834 [2 per cell]
O8 0.210 0.206 0.306 [2 per cell]
O9 0.257 0.053 0.898 [2 per cell]
O10 0.275 0.612 0.298 [2 per cell]
O11 0.302 0.518 0.531 [2 per cell]
O12 0.308 0.488 0.686 [2 per cell]
O13 0.347 0.003 0.046 [2 per cell]
O14 0.425 0.684 0.814 [2 per cell]
O15 0.448 0.405 0.936 [2 per cell]
O16 0.451 0.933 0.227 [2 per cell]
O17 0.479 0.877 0.386 [2 per cell]
O18 0.481 0.739 0.594 [2 per cell]


Q: Which of them is the least stable? A: *Q*.


*P*
Density functional theory data (PBE) for a relaxed SrI2O2 crystal.

abc: 4.772 11.011 11.846
angles: 90.14 100.84 90.42
Space group P1 (No. 1)
Unique sites:
Sr1 0.000 0.000 0.000 [1 per cell]
Sr2 0.005 0.027 0.492 [1 per cell]
Sr3 0.185 0.475 0.194 [1 per cell]
Sr4 0.197 0.548 0.694 [1 per cell]
I1 0.004 0.725 0.456 [1 per cell]
I2 0.005 0.296 0.953 [1 per cell]
I3 0.229 0.240 0.711 [1 per cell]
I4 0.233 0.786 0.217 [1 per cell]
I5 0.599 0.363 0.458 [1 per cell]
I6 0.632 0.649 0.958 [1 per cell]
I7 0.786 0.815 0.760 [1 per cell]
I8 0.812 0.198 0.253 [1 per cell]
O1 0.469 0.022 0.934 [1 per cell]
O2 0.477 0.998 0.436 [1 per cell]
O3 0.516 0.952 0.031 [1 per cell]
O4 0.529 0.058 0.540 [1 per cell]
O5 0.628 0.499 0.097 [1 per cell]
O6 0.637 0.519 0.597 [1 per cell]
O7 0.696 0.531 0.215 [1 per cell]
O8 0.704 0.489 0.714 [1 per cell]


*Q*
Density functional theory data (PBE) for a relaxed SrI2O2 crystal.

abc: 10.866 4.121 14.191
angles: 90.00 90.00 90.00
Space group Pnma (No. 62)
Unique sites:
Sr1 0.193 0.250 0.123 [4 per cell]
I1 0.090 0.750 0.320 [4 per cell]
I2 0.127 0.750 0.896 [4 per cell]
O1 0.192 0.750 0.026 [4 per cell]
O2 0.223 0.750 0.224 [4 per cell]


*R*
Density functional theory data (PBE) for a relaxed SrI2O2 crystal.

abc: 4.628 11.793 11.689
angles: 90.00 95.85 90.00
Space group P2_1/c (No. 14)
Unique sites:
Sr1 0.110 0.178 0.360 [4 per cell]
I1 0.105 0.013 0.888 [4 per cell]
I2 0.316 0.063 0.632 [4 per cell]
O1 0.378 0.747 0.094 [4 per cell]
O2 0.410 0.725 0.210 [4 per cell]


Q: Which of them is the least stable? A: *P*.


*P*
Density functional theory data (PBE) for a relaxed TcI6O2 crystal.

abc: 12.402 13.300 9.072
angles: 90.00 108.65 90.00
Space group Cc (No. 9)
Unique sites:
Tc1 0.000 0.234 0.000 [4 per cell]
I1 0.045 0.247 0.727 [4 per cell]
I2 0.108 0.072 0.103 [4 per cell]
I3 0.186 0.361 0.033 [4 per cell]
I4 0.311 0.372 0.453 [4 per cell]
I5 0.352 0.101 0.437 [4 per cell]
I6 0.474 0.186 0.769 [4 per cell]
O1 0.243 0.438 0.232 [4 per cell]
O2 0.283 0.074 0.203 [4 per cell]


*Q*
Density functional theory data (PBE) for a relaxed TcI6O2 crystal.

abc: 7.446 9.795 9.850
angles: 90.39 95.68 90.04
Space group P1 (No. 1)
Unique sites:
Tc1 0.000 0.000 0.000 [1 per cell]
Tc2 0.495 0.526 0.496 [1 per cell]
I1 0.002 0.004 0.272 [1 per cell]
I2 0.042 0.992 0.730 [1 per cell]
I3 0.049 0.284 0.003 [1 per cell]
I4 0.177 0.378 0.451 [1 per cell]
I5 0.350 0.916 0.027 [1 per cell]
I6 0.402 0.787 0.496 [1 per cell]
I7 0.499 0.519 0.768 [1 per cell]
I8 0.520 0.534 0.223 [1 per cell]
I9 0.545 0.244 0.495 [1 per cell]
I10 0.686 0.152 0.958 [1 per cell]
I11 0.843 0.615 0.511 [1 per cell]
I12 0.883 0.745 0.989 [1 per cell]
O1 0.464 0.029 0.892 [1 per cell]
O2 0.466 0.985 0.182 [1 per cell]
O3 0.965 0.502 0.376 [1 per cell]
O4 0.971 0.549 0.664 [1 per cell]


Q: Which of them is the least stable? A: *P*.


*P*
Density functional theory data (PBE) for a relaxed YI3O9 crystal.

abc: 8.817 6.152 16.763
angles: 90.00 114.80 90.00
Space group P2_1/c (No. 14)
Unique sites:
Y1 0.147 0.214 0.105 [4 per cell]
I1 0.074 0.189 0.358 [4 per cell]
I2 0.355 0.644 0.520 [4 per cell]
I3 0.418 0.594 0.802 [4 per cell]
O1 0.059 0.052 0.687 [4 per cell]
O2 0.094 0.605 0.670 [4 per cell]
O3 0.116 0.130 0.472 [4 per cell]
O4 0.126 0.628 0.485 [4 per cell]
O5 0.341 0.582 0.889 [4 per cell]
O6 0.344 0.177 0.256 [4 per cell]
O7 0.353 0.070 0.941 [4 per cell]
O8 0.363 0.011 0.635 [4 per cell]
O9 0.390 0.028 0.116 [4 per cell]


*Q*
Density functional theory data (PBE) for a relaxed YI3O9 crystal.

abc: 7.217 8.631 13.568
angles: 90.00 100.19 90.00
Space group P2_1/c (No. 14)
Unique sites:
Y1 0.171 0.245 0.146 [4 per cell]
I1 0.164 0.705 0.109 [4 per cell]
I2 0.267 0.021 0.890 [4 per cell]
I3 0.333 0.544 0.856 [4 per cell]
O1 0.020 0.530 0.388 [4 per cell]
O2 0.035 0.168 0.491 [4 per cell]
O3 0.149 0.692 0.822 [4 per cell]
O4 0.156 0.526 0.181 [4 per cell]
O5 0.225 0.209 0.824 [4 per cell]
O6 0.322 0.080 0.020 [4 per cell]
O7 0.338 0.033 0.230 [4 per cell]
O8 0.362 0.665 0.045 [4 per cell]
O9 0.468 0.174 0.639 [4 per cell]


Q: Which of them is the least stable? A: *Q*.